Entry 1:
# NdSbO3 | the Materials Project | PBE | optimized geometry
data_NdSbO3
_chemical_formula_sum 'Nd1 Sb1 O3'
_cell_length_a 4.282
_cell_length_b 4.282
_cell_length_c 4.282
_cell_angle_alpha 90.00
_cell_angle_beta 90.00
_cell_angle_gamma 90.00
_symmetry_space_group_name_H-M 'P m -3 m'
_symmetry_Int_Tables_number 221
_symmetry_space_group_name_Hall '-P 4 2 3'
loop_
_atom_site_label
_atom_site_type_symbol
_atom_site_fract_x
_atom_site_fract_y
_atom_site_fract_z
_atom_site_occupancy
Nd1 Nd 0.000 0.000 0.000 1
Sb1 Sb 0.500 0.500 0.500 1
O1 O 0.000 0.500 0.500 1
# Spin magnetization ... 0.000 μB/atom
# Energy of formation from the pure elements ... -1001.3 kJ/mol of formula units
# Total energy after the MP2020 corrections ... -34.12 eV per cell



Entry 2:
# Nd3Sb5O12 | the Materials Project | PBE | optimized geometry
data_Nd3Sb5O12
_chemical_formula_sum 'Nd12 Sb20 O48'
_cell_length_a 11.150
_cell_length_b 11.150
_cell_length_c 11.150
_cell_angle_alpha 90.00
_cell_angle_beta 90.00
_cell_angle_gamma 90.00
_symmetry_space_group_name_H-M 'I -4 3 m'
_symmetry_Int_Tables_number 217
_symmetry_space_group_name_Hall 'I -4 2 3'
loop_
_atom_site_label
_atom_site_type_symbol
_atom_site_fract_x
_atom_site_fract_y
_atom_site_fract_z
_atom_site_occupancy
Nd1 Nd 0.000 0.250 0.500 1
Sb1 Sb 0.000 0.000 0.282 1
Sb2 Sb 0.247 0.247 0.247 1
O1 O 0.099 0.099 0.392 1
O2 O 0.137 0.137 0.665 1
# Energy of formation from the pure elements ... -5029.5 kJ/mol of formula units
# Total energy after the MP2020 corrections ... -585.81 eV per cell



Entry 3:
# Nd2ZnSb2O | the Materials Project | PBE | optimized geometry
data_Nd2ZnSb2O
_chemical_formula_sum 'Nd2 Zn1 Sb2 O1'
_cell_length_a 3.526
_cell_length_b 3.526
_cell_length_c 15.967
_cell_angle_alpha 90.00
_cell_angle_beta 90.00
_cell_angle_gamma 90.00
_symmetry_space_group_name_H-M 'P 4/m m m'
_symmetry_Int_Tables_number 123
_symmetry_space_group_name_Hall '-P 4 2'
loop_
_atom_site_label
_atom_site_type_symbol
_atom_site_fract_x
_atom_site_fract_y
_atom_site_fract_z
_atom_site_occupancy
Nd1 Nd 0.000 0.000 0.131 1
Zn1 Zn 0.000 0.000 0.500 1
Sb1 Sb 0.000 0.000 0.341 1
O1 O 0.000 0.000 0.000 1
# Spin magnetization ... 0.148 μB/atom
# Energy of formation from the pure elements ... -293.0 kJ/mol of formula units
# Total energy after the MP2020 corrections ... -27.04 eV per cell



Entry 4:
# Nd2Se3O9 | the Materials Project | PBE | optimized geometry
data_Nd2Se3O9
_chemical_formula_sum 'Nd8 Se12 O36'
_cell_length_a 8.423
_cell_length_b 14.323
_cell_length_c 7.063
_cell_angle_alpha 90.00
_cell_angle_beta 90.00
_cell_angle_gamma 90.00
_symmetry_space_group_name_H-M 'P n m a'
_symmetry_Int_Tables_number 62
loop_
_symmetry_equiv_pos_as_xyz
'x,y,z'
'-x,-y,-z'
'-x+1/2,-y,z+1/2'
'x+1/2,y,-z+1/2'
'x+1/2,-y+1/2,-z+1/2'
'-x+1/2,y+1/2,z+1/2'
'-x,y+1/2,-z'
'x,-y+1/2,z'
loop_
_atom_site_label
_atom_site_type_symbol
_atom_site_fract_x
_atom_site_fract_y
_atom_site_fract_z
_atom_site_occupancy
Nd1 Nd 0.199 0.063 0.180 1
Se1 Se 0.045 0.750 0.908 1
Se2 Se 0.048 0.124 0.679 1
O1 O 0.057 0.653 0.760 1
O2 O 0.072 0.038 0.851 1
O3 O 0.123 0.577 0.410 1
O4 O 0.157 0.250 0.065 1
O5 O 0.202 0.095 0.529 1
# Energy of formation from the pure elements ... -3092.1 kJ/mol of formula units
# Total energy after the MP2020 corrections ... -386.41 eV per cell



Entry 5:
# Nd2Se3O12 | the Materials Project | PBE | optimized geometry
data_Nd2Se3O12
_chemical_formula_sum 'Nd8 Se12 O48'
_cell_length_a 12.547
_cell_length_b 7.283
_cell_length_c 13.490
_cell_angle_alpha 90.00
_cell_angle_beta 105.83
_cell_angle_gamma 90.00
_symmetry_space_group_name_H-M 'C 1 2/c 1'
_symmetry_Int_Tables_number 15
loop_
_symmetry_equiv_pos_as_xyz
'x,y,z'
'-x,-y,-z'
'-x,y,-z+1/2'
'x,-y,z+1/2'
'x+1/2,y+1/2,z'
'-x+1/2,-y+1/2,-z'
'-x+1/2,y+1/2,-z+1/2'
'x+1/2,-y+1/2,z+1/2'
loop_
_atom_site_label
_atom_site_type_symbol
_atom_site_fract_x
_atom_site_fract_y
_atom_site_fract_z
_atom_site_occupancy
Nd1 Nd 0.205 0.004 0.175 1
Se1 Se 0.000 0.327 0.250 1
Se2 Se 0.202 0.475 0.062 1
O1 O 0.043 0.193 0.168 1
O2 O 0.047 0.215 0.602 1
O3 O 0.102 0.463 0.315 1
O4 O 0.196 0.000 0.497 1
O5 O 0.218 0.334 0.647 1
O6 O 0.235 0.176 0.838 1
# Spin magnetization ... 0.236 μB/atom
# Energy of formation from the pure elements ... -2847.7 kJ/mol of formula units
# Total energy after the MP2020 corrections ... -435.65 eV per cell



Entry 6:
# Nd2SeO2 | the Materials Project | PBE | optimized geometry
data_Nd2SeO2
_chemical_formula_sum 'Nd2 Se1 O2'
_cell_length_a 4.0184
_cell_length_b 4.0184
_cell_length_c 7.0730
_cell_angle_alpha 90.00
_cell_angle_beta 90.00
_cell_angle_gamma 120.00
_symmetry_space_group_name_H-M 'P -3 m 1'
_symmetry_Int_Tables_number 164
_symmetry_space_group_name_Hall '-P 3 2"'
loop_
_atom_site_label
_atom_site_type_symbol
_atom_site_fract_x
_atom_site_fract_y
_atom_site_fract_z
_atom_site_occupancy
Nd1 Nd 0.3333 0.6667 0.2888 1
Se1 Se 0.0000 0.0000 0.0000 1
O1 O 0.3333 0.6667 0.6255 1
# Energy of formation from the pure elements ... -1583.4 kJ/mol of formula units
# Total energy after the MP2020 corrections ... -39.34 eV per cell



Entry 7:
# Nd4Se3O4 | the Materials Project | PBE | optimized geometry
data_Nd4Se3O4
_chemical_formula_sum 'Nd8 Se6 O8'
_cell_length_a 8.502
_cell_length_b 4.033
_cell_length_c 13.042
_cell_angle_alpha 90.00
_cell_angle_beta 90.00
_cell_angle_gamma 90.00
_symmetry_space_group_name_H-M 'A m m 2'
_symmetry_Int_Tables_number 38
loop_
_symmetry_equiv_pos_as_xyz
'x,y,z'
'-x,-y,z'
'-x,y,z'
'x,-y,z'
'x,y+1/2,z+1/2'
'-x,-y+1/2,z+1/2'
'-x,y+1/2,z+1/2'
'x,-y+1/2,z+1/2'
loop_
_atom_site_label
_atom_site_type_symbol
_atom_site_fract_x
_atom_site_fract_y
_atom_site_fract_z
_atom_site_occupancy
Nd1 Nd 0.000 0.000 0.000 1
Nd2 Nd 0.237 0.000 0.682 1
Nd3 Nd 0.500 0.000 0.017 1
Se1 Se 0.000 0.000 0.312 1
Se2 Se 0.351 0.000 0.355 1
O1 O 0.000 0.000 0.587 1
O2 O 0.244 0.000 0.087 1
O3 O 0.500 0.000 0.615 1
# Maximum piezoelectric response ... 1.13 C/m2
# Energy of formation from the pure elements ... -3190.6 kJ/mol of formula units
# Total energy after the MP2020 corrections ... -164.84 eV per cell



Entry 8:
# Nd4Si2Se3O7 | the Materials Project | PBE | optimized geometry
data_Nd4Si2Se3O7
_chemical_formula_sum 'Nd32 Si16 Se24 O56'
_cell_length_a 12.196
_cell_length_b 12.196
_cell_length_c 14.542
_cell_angle_alpha 90.00
_cell_angle_beta 90.00
_cell_angle_gamma 90.00
_symmetry_space_group_name_H-M 'I 41/a m d'
_symmetry_Int_Tables_number 141
loop_
_symmetry_equiv_pos_as_xyz
'x,y,z'
'-x,-y,-z'
'-y+1/4,x+3/4,z+1/4'
'y+1/4,-x+3/4,-z+1/4'
'-x+1/2,-y,z+1/2'
'x+1/2,y,-z+1/2'
'y+1/4,-x+1/4,z+3/4'
'-y+1/4,x+1/4,-z+3/4'
'x,-y,-z'
'-x,y,z'
'-y+1/4,-x+1/4,-z+3/4'
'y+1/4,x+1/4,z+3/4'
'-x+1/2,y,-z+1/2'
'x+1/2,-y,z+1/2'
'y+1/4,x+3/4,-z+1/4'
'-y+1/4,-x+3/4,z+1/4'
'x+1/2,y+1/2,z+1/2'
'-x+1/2,-y+1/2,-z+1/2'
'-y+3/4,x+1/4,z+3/4'
'y+3/4,-x+1/4,-z+3/4'
'-x,-y+1/2,z'
'x,y+1/2,-z'
'y+3/4,-x+3/4,z+1/4'
'-y+3/4,x+3/4,-z+1/4'
'x+1/2,-y+1/2,-z+1/2'
'-x+1/2,y+1/2,z+1/2'
'-y+3/4,-x+3/4,-z+1/4'
'y+3/4,x+3/4,z+1/4'
'-x,y+1/2,-z'
'x,-y+1/2,z'
'y+3/4,x+1/4,-z+3/4'
'-y+3/4,-x+1/4,z+3/4'
loop_
_atom_site_label
_atom_site_type_symbol
_atom_site_fract_x
_atom_site_fract_y
_atom_site_fract_z
_atom_site_occupancy
Nd1 Nd 0.000 0.010 0.334 1
Nd2 Nd 0.172 0.078 0.875 1
Si1 Si 0.000 0.126 0.094 1
Se1 Se 0.000 0.250 0.375 1
Se2 Se 0.000 0.250 0.875 1
Se3 Se 0.146 0.000 0.500 1
O1 O 0.000 0.024 0.169 1
O2 O 0.000 0.250 0.140 1
O3 O 0.118 0.109 0.041 1
# Spin magnetization ... 0.000 μB/atom
# Energy of formation from the pure elements ... -4772.0 kJ/mol of formula units
# Total energy after the MP2020 corrections ... -996.04 eV per cell